This record from the Materials Project describes a geometry-optimized Na3ErCl6 structure. The functional is PBE.

Lattice parameters (Å, degrees): 7.303 6.910 12.309 56.43 90.00 90.00
Atoms (fractional coordinates):
Na (0.000, 0.500, 0.500)
Na (0.500, 0.500, 0.000)
Na (0.925, 0.718, 0.758)
Na (0.425, 0.282, 0.742)
Na (0.075, 0.282, 0.242)
Na (0.575, 0.718, 0.258)
Er (0.000, 0.000, 0.000)
Er (0.500, 0.000, 0.500)
Cl (0.064, 0.100, 0.763)
Cl (0.197, 0.754, 0.578)
Cl (0.936, 0.900, 0.237)
Cl (0.564, 0.900, 0.737)
Cl (0.678, 0.623, 0.565)
Cl (0.436, 0.100, 0.263)
Cl (0.178, 0.377, 0.935)
Cl (0.803, 0.246, 0.422)
Cl (0.822, 0.623, 0.065)
Cl (0.322, 0.377, 0.435)
Cl (0.303, 0.754, 0.078)
Cl (0.697, 0.246, 0.922)

## Properties
- Energy relative to the elements: -2366 meV per atom
- Corrected total energy (MP2020 scheme): -43.29 eV/f.u.
- V: 517.6 Å³ per cell